Record 1
Density functional theory data (PBE with a Hubbard U) for a relaxed structure of Fe3Co5O16.

Values from the calculation:
* ΔH_f (0 K): -102 kJ per mole of atoms
* uncorrected energy: -139.46 eV/cell
* SG: Cm (8)

```
24
Lattice="-2.7009 -4.6710 -1.9476 4.5673 2.0086 -2.7843 5.1105 -4.7229 4.9741" Properties=species:S:1:pos:R:3 pbc="T T T"
Fe 3.0772 -2.4382 -2.5812
Fe 4.4168 -5.9124 0.0402
Fe 2.1341 -6.9158 1.4313
Co 4.4062 -0.0853 -1.6134
Co 4.6277 -2.5254 -0.0969
Co 2.1352 -1.0843 -0.2298
Co 3.4565 -4.5656 2.3725
Co 4.7711 -7.0878 2.7042
O 6.3818 -1.9849 0.2919
O 3.9729 -0.7464 0.1138
O 2.6471 -0.6596 -1.9988
O 1.6203 -1.5342 1.5490
O 4.1638 -3.9114 4.0026
O 4.1390 -2.9705 1.6595
O 4.8458 -1.9012 -1.8604
O 2.8434 -2.7817 -0.6390
O 0.4160 -1.7279 -0.5686
O 5.0560 -4.2312 -0.6281
O 5.0707 -5.4397 1.9323
O 3.1560 -6.2808 3.0998
O 2.7683 -5.2295 0.7655
O 1.2884 -3.0437 -2.9811
O 3.9718 -7.5292 1.0702
O -0.9604 -4.0318 -1.6104
```

Record 2
Density functional theory data (PBE with a Hubbard U) for a relaxed structure of Fe2CoO4.

Values from the calculation:
* ΔH_f (0 K): -141 kJ per mole of atoms
* uncorrected energy: -271.16 eV/cell
* SG: P3_121 (152)

```
42
Lattice="3.0197 -5.2302 0.0000 3.0197 5.2302 0.0000 0.0000 0.0000 14.7295" Properties=species:S:1:pos:R:3 pbc="T T T"
Fe 4.0162 -0.0132 12.9094
Fe 2.5173 2.6202 14.7189
Fe 1.0230 -1.7454 3.0898
Fe 2.5173 -2.6202 0.0106
Fe 4.0302 -1.7400 4.9204
Fe 4.0197 -3.4715 7.9996
Fe 2.5115 0.8699 4.8992
Fe 4.0162 0.0132 1.8200
Fe 2.5115 -0.8699 9.8302
Fe 4.0197 3.4715 6.7298
Fe 4.0302 1.7400 9.8091
Fe 1.0230 1.7454 11.6397
Co 0.9963 -1.7257 12.2745
Co 0.9963 1.7257 2.4549
Co 2.5166 -4.3588 4.9098
Co 1.0061 0.0000 0.0000
Co 4.0466 0.0000 7.3647
Co 2.5166 4.3588 9.8196
O 2.5521 4.2930 13.5541
O 2.4633 -0.9500 13.5491
O 4.0250 3.4343 1.1404
O 4.0251 1.8184 13.5842
O 4.0251 -1.8184 1.1452
O 2.6108 -2.6219 3.7295
O 4.0250 -3.4343 13.5890
O 2.5521 -4.2930 1.1753
O 2.4519 2.5766 3.7646
O 1.0526 1.7686 6.0502
O 2.4633 0.9500 1.1803
O 1.0454 0.0636 3.7345
O 3.9849 1.6582 6.0902
O 2.5819 0.8351 8.6744
O 2.5819 -0.8351 6.0550
O 3.9814 -0.0273 3.7694
O 5.4615 0.8735 8.6443
O 3.9814 0.0273 10.9600
O 5.4615 -0.8735 6.0852
O 3.9849 -1.6582 8.6393
O 1.0454 -0.0636 10.9950
O 1.0526 -1.7686 8.6792
O 2.6108 2.6219 11.0000
O 2.4519 -2.5766 10.9648
```

Record 3
Density functional theory data (PBE with a Hubbard U) for a relaxed structure of FeCoO4.

Values from the calculation:
* ΔH_f (0 K): -106 kJ per mole of atoms
* uncorrected energy: -35.32 eV/cell
* SG: P2/m (10)

```
6
Lattice="-0.3524 0.1204 2.8897 -4.7497 -1.5991 -0.5125 -0.0845 -5.0509 0.2002" Properties=species:S:1:pos:R:3 pbc="T T T"
Fe -2.4171 -3.3250 -0.1562
Co -0.2184 -2.4652 1.5449
O -1.4403 -3.8709 1.4545
O -3.7463 -2.6586 1.1228
O -3.7660 -4.7712 -0.2604
O -1.0682 -1.8788 -0.0520
```

Record 4
Density functional theory data (PBE with a Hubbard U) for a relaxed structure of Fe7Co2O12.

Values from the calculation:
* ΔH_f (0 K): -142 kJ per mole of atoms
* uncorrected energy: -272.93 eV/cell
* SG: C2/c (15)

```
42
Lattice="-5.7578 -0.5458 1.6897 -1.4616 -1.8282 -5.5522 -1.3096 -13.3141 1.5808" Properties=species:S:1:pos:R:3 pbc="T T T"
Fe -2.2663 -5.7807 0.9228
Fe -6.6745 -2.9319 -2.1968
Fe -5.1345 -11.0106 0.1691
Fe -1.8545 -12.7562 -0.0848
Fe -6.2626 -9.9074 -3.2044
Fe -3.3945 -4.6775 -2.4507
Fe -3.6097 -1.1870 -1.9312
Fe -4.2645 -7.8441 -1.1408
Fe -1.3856 -7.5712 -1.9857
Fe -4.3268 -2.9539 0.4850
Fe -4.2021 -12.7342 -2.7666
Fe -2.8126 -10.2585 -2.3807
Fe -5.7163 -5.4297 0.0991
Fe -2.8789 -0.2729 0.8449
Co -2.0711 -9.2728 0.3911
Co -6.4578 -6.4153 -2.6727
Co -1.4355 -2.6101 -0.3671
Co -7.0935 -13.0781 -1.9145
O -2.4370 -12.2003 -1.8199
O -5.3730 -7.5143 0.5597
O -4.0082 -4.0611 -4.1858
O -4.5727 -10.7939 -3.3359
O -1.6984 -5.6170 -2.5400
O -4.5739 -0.8981 -0.1379
O -7.5565 -11.0769 -2.4485
O -4.6789 -5.9006 -1.6568
O -1.9210 -0.6196 -0.9336
O -1.6897 -11.2497 1.0626
O -6.0358 -8.3868 -1.9992
O -3.2587 -3.1116 -1.3082
O -3.1560 -8.1738 -2.8413
O -6.0919 -3.4879 -0.4618
O -4.5208 -11.6270 1.9041
O -6.8305 -10.0712 0.2584
O -3.9562 -4.8943 1.0543
O -3.9550 -14.7901 -2.1437
O -3.8500 -9.7876 -0.6248
O -0.9724 -4.6113 0.1668
O -6.6079 -15.0685 -1.3480
O -2.4932 -7.3013 -0.2825
O -6.8392 -4.4384 -3.3442
O -5.2702 -12.5766 -0.9734
```